# 1
Computed, not measured: a relaxed structure of Na4MnO4 at the GGA+U level of DFT.

abc: 6.338 7.588 11.406
angles: 90.00 90.00 89.61
Element x y z (fractional)
Na  0.228  0.315  0.689
Na  0.545  0.165  0.553
Na  0.309  0.726  0.156
Na  0.728  0.815  0.311
O  0.933  0.769  0.637
Na  0.809  0.226  0.344
O  0.763  0.525  0.871
Na  0.262  0.001  0.349
O  0.434  0.476  0.563
Na  0.228  0.315  0.189
Mn  0.990  0.996  0.591
Na  0.762  0.501  0.151
O  0.880  0.204  0.150
Na  0.762  0.501  0.651
Na  0.545  0.165  0.053
Na  0.809  0.226  0.844
O  0.433  0.269  0.363
Na  0.045  0.665  0.947
O  0.380  0.704  0.350
Mn  0.490  0.496  0.409
O  0.435  0.476  0.063
Mn  0.490  0.497  0.909
Mn  0.990  0.996  0.091
Na  0.728  0.815  0.811
O  0.933  0.769  0.137
O  0.433  0.269  0.863
O  0.934  0.976  0.937
O  0.763  0.525  0.371
O  0.380  0.704  0.850
O  0.262  0.025  0.129
Na  0.262  0.001  0.849
O  0.880  0.204  0.650
O  0.935  0.976  0.437
O  0.263  0.025  0.629
Na  0.045  0.665  0.447
Na  0.309  0.726  0.656

Calculated values
- Energy relative to the elements: -1.696 eV/atom
- Magnetization: 0.00 μB/cell
- VASP energy: -180.357 eV/cell
- Offset from the most stable computed form: 56 meV/atom
- Maximum piezoelectric response: 0.361 C/m²

# 2
Computed, not measured: a relaxed structure of Ba2VP2O9 at the GGA+U level of DFT.

abc: 9.354 11.119 9.600
angles: 90.00 108.88 107.29
Element x y z (fractional)
O  0.205  0.533  0.462
O  0.000  0.168  0.000
O  0.620  0.771  0.648
P  0.739  0.406  0.677
O  0.380  0.202  0.851
P  0.262  0.066  0.824
O  0.000  0.803  0.500
O  0.794  0.939  0.037
Ba  0.674  0.663  0.922
O  0.620  0.271  0.648
Ba  0.673  0.146  0.422
O  0.114  0.965  0.185
O  0.205  0.033  0.462
O  0.114  0.465  0.185
O  0.000  0.303  0.500
O  0.206  0.543  0.963
O  0.341  0.466  0.809
O  0.662  0.006  0.693
O  0.662  0.506  0.693
Ba  0.327  0.309  0.578
O  0.795  0.431  0.538
P  0.738  0.935  0.176
O  0.000  0.668  0.000
O  0.206  0.043  0.963
P  0.739  0.906  0.677
O  0.380  0.702  0.851
O  0.114  0.562  0.686
O  0.886  0.005  0.314
O  0.795  0.931  0.538
Ba  0.327  0.809  0.578
P  0.262  0.566  0.824
O  0.659  0.296  0.191
V  0.000  0.454  0.500
O  0.794  0.439  0.037
P  0.261  0.037  0.323
O  0.380  0.961  0.352
V  0.000  0.518  0.000
O  0.620  0.511  0.149
Ba  0.326  0.826  0.078
V  0.000  0.018  0.000
P  0.261  0.537  0.323
P  0.738  0.435  0.176
O  0.338  0.676  0.307
O  0.886  0.908  0.815
O  0.380  0.461  0.352
Ba  0.673  0.646  0.422
Ba  0.674  0.163  0.922
Ba  0.326  0.326  0.078
O  0.114  0.062  0.686
O  0.620  0.011  0.149
O  0.886  0.505  0.314
V  0.000  0.954  0.500
O  0.659  0.796  0.191
O  0.341  0.966  0.809
O  0.338  0.176  0.307
O  0.886  0.408  0.815

Calculated values
- Energy relative to the elements: -3.078 eV/atom
- Magnetization: 4.00 μB/cell
- VASP energy: -413.973 eV/cell

# 3
Computed, not measured: a relaxed structure of LiGa4W2O12 at the GGA+U level of DFT.

abc: 4.688 9.155 4.695
angles: 90.00 91.25 90.00
Element x y z (fractional)
Li  0.000  0.000  0.000
Ga  0.000  0.091  0.500
Ga  0.000  0.416  0.500
Ga  0.500  0.588  0.000
Ga  0.500  0.909  0.000
W  0.000  0.746  0.500
W  0.500  0.256  0.000
O  0.193  0.921  0.700
O  0.198  0.579  0.697
O  0.199  0.250  0.700
O  0.297  0.752  0.202
O  0.303  0.090  0.189
O  0.306  0.407  0.195
O  0.694  0.407  0.805
O  0.697  0.090  0.811
O  0.703  0.752  0.798
O  0.801  0.250  0.300
O  0.802  0.579  0.303
O  0.807  0.921  0.300

Calculated values
- Energy relative to the elements: -2.179 eV/atom
- Symmetry: P2 (3)
- Magnetization: 1.00 μB/cell
- VASP energy: -123.603 eV/cell
- Offset from the most stable computed form: 0 meV/atom
- Crystal system: monoclinic

# 4
Computed, not measured: a relaxed structure of Li3MnPCO7 at the GGA+U level of DFT.

abc: 5.032 6.870 8.736
angles: 84.10 86.86 82.58
Element x y z (fractional)
Li  0.043  0.268  0.256
Li  0.208  0.895  0.267
Li  0.371  0.528  0.289
Li  0.629  0.472  0.711
Li  0.792  0.105  0.733
Li  0.957  0.732  0.744
Mn  0.204  0.254  0.869
Mn  0.796  0.746  0.131
P  0.333  0.755  0.914
P  0.667  0.245  0.086
C  0.255  0.278  0.561
C  0.745  0.722  0.439
O  0.024  0.295  0.636
O  0.165  0.937  0.829
O  0.239  0.730  0.088
O  0.274  0.573  0.834
O  0.275  0.286  0.414
O  0.361  0.222  0.095
O  0.468  0.252  0.644
O  0.532  0.748  0.356
O  0.639  0.778  0.905
O  0.725  0.714  0.586
O  0.726  0.427  0.166
O  0.761  0.270  0.912
O  0.835  0.063  0.171
O  0.976  0.705  0.364

Calculated values
- Energy relative to the elements: -2.370 eV/atom
- Symmetry: P-1 (2)
- Magnetization: 10.00 μB/cell
- VASP energy: -177.004 eV/cell
- Offset from the most stable computed form: 51 meV/atom
- Crystal system: triclinic

# 5
Computed, not measured: a relaxed structure of Y2MnSbO7 at the GGA+U level of DFT.

abc: 7.325 7.325 7.325
angles: 121.62 118.48 89.93
Element x y z (fractional)
Y  0.000  0.000  0.000
Y  0.500  0.000  0.000
Y  0.500  0.000  0.500
Y  0.500  0.500  0.500
Mn  0.000  0.000  0.500
Mn  0.000  0.500  0.000
Sb  0.000  0.500  0.500
Sb  0.500  0.500  0.000
O  0.081  0.831  0.250
O  0.093  0.417  0.260
O  0.093  0.833  0.676
O  0.328  0.578  0.750
O  0.342  0.167  0.760
O  0.342  0.583  0.176
O  0.373  0.123  0.250
O  0.627  0.877  0.750
O  0.658  0.417  0.824
O  0.658  0.833  0.240
O  0.672  0.422  0.250
O  0.907  0.167  0.324
O  0.907  0.583  0.740
O  0.919  0.169  0.750

Calculated values
- Energy relative to the elements: -2.939 eV/atom
- Symmetry: Imma (74)
- Magnetization: 8.00 μB/cell
- VASP energy: -173.424 eV/cell
- Crystal system: orthorhombic

# 6
Computed, not measured: a relaxed structure of MnSnB2O6 at the GGA+U level of DFT.

abc: 5.891 5.891 5.891
angles: 48.44 48.44 48.44
Element x y z (fractional)
Mn  0.000  0.000  0.000
Sn  0.500  0.500  0.500
B  0.245  0.245  0.245
B  0.755  0.755  0.755
O  0.047  0.742  0.473
O  0.258  0.527  0.953
O  0.473  0.047  0.742
O  0.527  0.953  0.258
O  0.742  0.473  0.047
O  0.953  0.258  0.527

Calculated values
- Energy relative to the elements: -2.499 eV/atom
- Symmetry: R-3 (148)
- Magnetization: 5.00 μB/cell
- VASP energy: -75.418 eV/cell
- Crystal system: trigonal

# 7
Computed, not measured: a relaxed structure of Na3Sc2Mo3O12 at the GGA+U level of DFT.

abc: 9.235 9.235 7.288
angles: 104.30 104.30 95.07
Element x y z (fractional)
Na  0.000  0.000  0.000
Na  0.000  0.000  0.500
Na  0.231  0.769  0.750
Na  0.487  0.513  0.250
Na  0.513  0.487  0.750
Na  0.769  0.231  0.250
Sc  0.132  0.446  0.877
Sc  0.446  0.132  0.377
Sc  0.554  0.868  0.623
Sc  0.868  0.554  0.123
Mo  0.154  0.378  0.378
Mo  0.218  0.782  0.250
Mo  0.378  0.154  0.878
Mo  0.622  0.846  0.122
Mo  0.782  0.218  0.750
Mo  0.846  0.622  0.622
O  0.020  0.759  0.269
O  0.034  0.199  0.291
O  0.087  0.463  0.160
O  0.158  0.502  0.626
O  0.199  0.034  0.791
O  0.241  0.980  0.231
O  0.263  0.664  0.028
O  0.334  0.356  0.916
O  0.336  0.737  0.472
O  0.356  0.334  0.416
O  0.463  0.087  0.660
O  0.498  0.842  0.874
O  0.502  0.158  0.126
O  0.537  0.913  0.340
O  0.644  0.666  0.584
O  0.664  0.263  0.528
O  0.666  0.644  0.084
O  0.737  0.336  0.972
O  0.759  0.020  0.769
O  0.801  0.966  0.209
O  0.842  0.498  0.374
O  0.913  0.537  0.840
O  0.966  0.801  0.709
O  0.980  0.241  0.731

Calculated values
- Energy relative to the elements: -2.455 eV/atom
- Symmetry: C2/c (15)
- Magnetization: 6.00 μB/cell
- VASP energy: -279.603 eV/cell
- Crystal system: monoclinic

# 8
Computed, not measured: a relaxed structure of AlV2O4 at the GGA+U level of DFT.

abc: 6.040 6.040 6.040
angles: 122.01 121.80 86.73
Element x y z (fractional)
Al  0.000  0.000  0.000
Al  0.500  0.000  0.500
V  0.000  0.000  0.500
V  0.000  0.500  0.000
V  0.379  0.629  0.750
V  0.621  0.371  0.250
O  0.218  0.219  0.999
O  0.242  0.214  0.472
O  0.242  0.770  0.028
O  0.280  0.781  0.499
O  0.720  0.219  0.501
O  0.758  0.230  0.972
O  0.758  0.786  0.528
O  0.782  0.781  0.001

Calculated values
- Energy relative to the elements: -2.649 eV/atom
- Symmetry: Imma (74)
- Magnetization: 10.00 μB/cell
- VASP energy: -108.197 eV/cell
- Offset from the most stable computed form: 116 meV/atom
- Crystal system: orthorhombic

# 9
Computed, not measured: a relaxed structure of ErMnO3 at the GGA+U level of DFT.

abc: 6.174 6.174 11.517
angles: 90.00 90.00 120.00
Element x y z (fractional)
Er  0.000  0.000  0.000
Er  0.000  0.000  0.500
Er  0.333  0.667  0.456
Er  0.333  0.667  0.956
Er  0.667  0.333  0.456
Er  0.667  0.333  0.956
Mn  0.000  0.333  0.225
Mn  0.000  0.667  0.725
Mn  0.333  0.000  0.225
Mn  0.333  0.333  0.725
Mn  0.667  0.000  0.725
Mn  0.667  0.667  0.225
O  0.000  0.000  0.200
O  0.000  0.000  0.700
O  0.000  0.307  0.391
O  0.000  0.360  0.060
O  0.000  0.640  0.560
O  0.000  0.693  0.891
O  0.307  0.000  0.391
O  0.307  0.307  0.891
O  0.333  0.667  0.247
O  0.333  0.667  0.747
O  0.360  0.000  0.060
O  0.360  0.360  0.560
O  0.640  0.000  0.560
O  0.640  0.640  0.060
O  0.667  0.333  0.247
O  0.667  0.333  0.747
O  0.693  0.000  0.891
O  0.693  0.693  0.391

Calculated values
- Energy relative to the elements: -3.082 eV/atom
- Symmetry: P6_3cm (185)
- VASP energy: -241.543 eV/cell
- Crystal system: hexagonal

# 10
Computed, not measured: a relaxed structure of LiMn2O3 at the GGA+U level of DFT.

abc: 5.251 5.251 10.139
angles: 93.98 93.98 117.12
Element x y z (fractional)
Li  0.070  0.930  0.500
Li  0.245  0.746  0.001
Li  0.746  0.245  0.501
Li  0.930  0.070  0.000
Mn  0.167  0.329  0.751
Mn  0.329  0.167  0.251
Mn  0.413  0.582  0.502
Mn  0.506  0.999  0.752
Mn  0.582  0.413  0.002
Mn  0.669  0.842  0.250
Mn  0.842  0.669  0.750
Mn  0.999  0.506  0.252
O  0.068  0.213  0.370
O  0.103  0.595  0.636
O  0.213  0.068  0.870
O  0.287  0.432  0.133
O  0.401  0.905  0.365
O  0.432  0.287  0.633
O  0.573  0.707  0.869
O  0.595  0.103  0.136
O  0.707  0.573  0.369
O  0.790  0.929  0.630
O  0.905  0.401  0.865
O  0.929  0.790  0.130

Calculated values
- Energy relative to the elements: -2.072 eV/atom
- Symmetry: Cc (9)
- Magnetization: 0.00 μB/cell
- VASP energy: -168.447 eV/cell
- Offset from the most stable computed form: 2 meV/atom
- Crystal system: monoclinic

# 11
Computed, not measured: a relaxed structure of MgV4O7F5 at the GGA+U level of DFT.

abc: 5.249 5.579 7.192
angles: 93.20 90.43 91.24
Element x y z (fractional)
Mg  0.000  0.000  0.000
V  0.040  0.439  0.279
V  0.519  0.837  0.770
V  0.541  0.933  0.287
V  0.986  0.392  0.772
O  0.093  0.408  0.545
O  0.278  0.636  0.239
O  0.428  0.904  0.550
O  0.628  0.890  0.020
O  0.678  0.579  0.728
O  0.726  0.180  0.325
O  0.924  0.369  0.023
F  0.181  0.712  0.855
F  0.214  0.108  0.225
F  0.279  0.160  0.846
F  0.790  0.687  0.338
F  0.823  0.058  0.735

Calculated values
- Energy relative to the elements: -2.648 eV/atom
- Symmetry: P1 (1)
- Magnetization: 3.00 μB/cell
- VASP energy: -113.248 eV/cell
- Offset from the most stable computed form: 74 meV/atom
- Crystal system: triclinic

# 12
Computed, not measured: a relaxed structure of Nb2MoO8 at the GGA+U level of DFT.

abc: 10.552 10.552 5.143
angles: 90.16 90.16 34.22
Element x y z (fractional)
Nb  0.053  0.684  0.744
Nb  0.316  0.947  0.756
Nb  0.684  0.053  0.244
Nb  0.947  0.316  0.256
Mo  0.337  0.663  0.250
Mo  0.663  0.337  0.750
O  0.077  0.243  0.927
O  0.106  0.781  0.415
O  0.190  0.435  0.640
O  0.219  0.894  0.085
O  0.243  0.077  0.427
O  0.338  0.558  0.932
O  0.435  0.190  0.140
O  0.442  0.662  0.568
O  0.558  0.338  0.432
O  0.565  0.810  0.860
O  0.662  0.442  0.068
O  0.757  0.923  0.573
O  0.781  0.106  0.915
O  0.810  0.565  0.360
O  0.894  0.219  0.585
O  0.923  0.757  0.073

Calculated values
- Energy relative to the elements: -2.451 eV/atom
- Symmetry: C2/c (15)
- Magnetization: 0.00 μB/cell
- VASP energy: -177.796 eV/cell
- Crystal system: monoclinic

# 13
Computed, not measured: a relaxed structure of Zr2Cr2F3 at the GGA+U level of DFT.

abc: 6.440 6.440 6.012
angles: 91.88 91.88 103.69
Element x y z (fractional)
Zr  0.000  0.000  0.000
Zr  0.065  0.537  0.837
Zr  0.537  0.065  0.837
Zr  0.633  0.633  0.952
Cr  0.364  0.826  0.280
Cr  0.456  0.456  0.525
Cr  0.816  0.816  0.519
Cr  0.826  0.364  0.280
F  0.041  0.041  0.349
F  0.087  0.456  0.489
F  0.217  0.217  0.808
F  0.283  0.536  0.122
F  0.456  0.087  0.489
F  0.536  0.283  0.122

Calculated values
- Energy relative to the elements: -1.443 eV/atom
- Symmetry: Cm (8)
- Magnetization: 14.02 μB/cell
- VASP energy: -93.718 eV/cell
- Offset from the most stable computed form: 0 meV/atom
- Crystal system: monoclinic